Here is a relaxed structure of Ca11Re2N10 from the Materials Project. Energies are from PBE.

Properties
Formation enthalpy at 0 K in meV/atom: -585
Total DFT energy (no corrections) in eV/atom: -6.094
Magnetization in μB/atom: 0.1517

Cell: 15.4123 15.4123 3.5112 Å, 90.00 90.00 90.00°
Space group P4_2/mnm (No. 136)
Unique sites:
1 Ca 0.0000 0.0000 0.0000 (multiplicity 2)
2 Ca 0.0244 0.2017 0.5000 (multiplicity 8)
3 Ca 0.1072 0.6244 0.5000 (multiplicity 8)
4 Ca 0.1556 0.8444 0.0000 (multiplicity 4)
5 Re 0.1963 0.1963 0.0000 (multiplicity 4)
6 N 0.0202 0.6865 0.0000 (multiplicity 8)
7 N 0.0803 0.9197 0.5000 (multiplicity 4)
8 N 0.1116 0.1116 0.0000 (multiplicity 4)
9 N 0.2204 0.7796 0.5000 (multiplicity 4)